Compound: Zn3Bi2P2O12
Source: Materials Project
Functional: PBE
Structure: optimized geometry

Output
Calculated formation energy (kJ per mole of atoms): -189.30
SG: Pm

a b c (Å): 5.253 7.939 12.044
angles (deg): 88.87 90.00 90.00
Fractional coordinates of all 38 atoms:
P 0.000 0.983 0.302
P 0.500 0.461 0.200
P 0.500 0.031 0.696
P 0.000 0.539 0.800
Zn 0.000 0.306 0.080
Zn 0.000 0.814 0.598
Zn 0.000 0.696 0.106
Zn 0.500 0.181 0.401
Zn 0.000 0.202 0.587
Zn 0.500 0.681 0.919
O 0.238 0.005 0.374
O 0.253 0.491 0.127
O 0.758 0.516 0.871
O 0.000 0.795 0.260
O 0.500 0.272 0.237
O 0.500 0.905 0.794
O 0.000 0.099 0.198
O 0.751 0.820 0.006
O 0.747 0.491 0.127
O 0.237 0.665 0.519
O 0.752 0.164 0.999
O 0.748 0.008 0.624
O 0.746 0.325 0.491
O 0.249 0.820 0.006
O 0.762 0.005 0.374
O 0.254 0.325 0.491
O 0.252 0.008 0.624
O 0.248 0.164 0.999
O 0.500 0.215 0.731
O 0.000 0.723 0.753
O 0.763 0.665 0.519
O 0.242 0.516 0.871
O 0.000 0.410 0.704
O 0.500 0.577 0.299
Bi 0.500 0.016 0.108
Bi 0.000 0.544 0.394
Bi 0.000 0.992 0.898
Bi 0.500 0.464 0.611

***

Compound: NiB20H24C8N2
Source: Materials Project
Functional: PBE
Structure: optimized geometry

Output
Calculated formation energy (kJ per mole of atoms): 44.71
SG: P2_1/c

a b c (Å): 11.944 7.188 15.832
angles (deg): 85.90 90.00 90.00
Fractional coordinates of all 110 atoms:
H 0.631 0.255 0.608
H 0.294 0.079 0.853
H 0.236 0.417 0.941
H 0.950 0.976 0.829
H 0.398 0.688 0.581
H 0.400 0.270 0.462
H 0.251 0.306 0.141
H 0.161 0.746 0.497
H 0.600 0.730 0.538
H 0.358 0.021 0.396
H 0.858 0.979 0.104
H 0.869 0.255 0.108
H 0.749 0.694 0.859
H 0.527 0.624 0.439
H 0.839 0.254 0.503
H 0.097 0.153 0.508
H 0.203 0.899 0.663
H 0.642 0.979 0.604
H 0.102 0.688 0.081
H 0.369 0.745 0.392
H 0.131 0.745 0.892
H 0.764 0.583 0.059
H 0.661 0.254 0.003
H 0.794 0.921 0.647
H 0.473 0.376 0.561
H 0.736 0.583 0.559
H 0.703 0.101 0.837
H 0.797 0.101 0.337
H 0.898 0.312 0.919
H 0.450 0.024 0.671
H 0.297 0.899 0.163
H 0.249 0.306 0.641
H 0.403 0.153 0.008
H 0.903 0.847 0.492
H 0.706 0.921 0.147
H 0.339 0.746 0.997
H 0.751 0.694 0.359
H 0.973 0.624 0.939
H 0.900 0.730 0.038
H 0.550 0.976 0.329
H 0.206 0.079 0.353
H 0.142 0.021 0.896
H 0.264 0.417 0.441
H 0.597 0.847 0.992
H 0.100 0.270 0.962
H 0.050 0.024 0.171
H 0.602 0.312 0.419
H 0.027 0.376 0.061
B 0.693 0.897 0.983
B 0.752 0.949 0.080
B 0.894 0.962 0.892
B 0.252 0.051 0.420
B 0.711 0.727 0.521
B 0.307 0.103 0.017
B 0.193 0.103 0.517
B 0.844 0.142 0.060
B 0.253 0.962 0.602
B 0.606 0.962 0.392
B 0.862 0.163 0.946
B 0.771 0.132 0.496
B 0.748 0.949 0.580
B 0.211 0.273 0.979
B 0.282 0.202 0.591
B 0.289 0.273 0.479
B 0.410 0.255 0.546
B 0.910 0.745 0.954
B 0.090 0.255 0.046
B 0.590 0.745 0.454
B 0.344 0.858 0.440
B 0.718 0.798 0.409
B 0.156 0.858 0.940
B 0.229 0.868 0.504
B 0.248 0.051 0.920
B 0.247 0.962 0.102
B 0.782 0.798 0.909
B 0.638 0.163 0.446
B 0.138 0.837 0.054
B 0.789 0.727 0.021
B 0.656 0.142 0.560
B 0.747 0.038 0.398
B 0.807 0.897 0.483
B 0.362 0.837 0.554
B 0.729 0.132 0.996
B 0.394 0.038 0.608
B 0.753 0.038 0.898
B 0.271 0.868 0.004
B 0.218 0.202 0.091
B 0.106 0.038 0.108
C 0.997 0.541 0.361
C 0.537 0.625 0.752
C 0.963 0.625 0.252
C 0.497 0.459 0.139
C 0.098 0.508 0.275
C 0.503 0.541 0.861
C 0.902 0.492 0.725
C 0.037 0.375 0.748
C 0.003 0.459 0.639
C 0.463 0.375 0.248
C 0.402 0.508 0.775
C 0.943 0.312 0.694
C 0.598 0.492 0.225
C 0.057 0.688 0.306
C 0.443 0.688 0.806
C 0.557 0.312 0.194
Ni 0.000 0.000 0.000
Ni 0.500 0.000 0.500
N 0.517 0.429 0.787
N 0.983 0.429 0.287
N 0.483 0.571 0.213
N 0.017 0.571 0.713

***

Compound: KNa2LiZr2Si12O30
Source: Materials Project
Functional: PBE
Structure: optimized geometry

Output
Calculated formation energy (kJ per mole of atoms): -310.62
SG: Cccm

a b c (Å): 10.301 10.301 14.613
angles (deg): 90.00 90.00 120.46
Fractional coordinates of all 96 atoms:
Si 0.113 0.763 0.109
Si 0.649 0.886 0.110
Si 0.887 0.237 0.109
Si 0.114 0.351 0.390
Si 0.237 0.887 0.609
Si 0.886 0.649 0.390
Si 0.763 0.113 0.391
Si 0.351 0.238 0.610
Si 0.762 0.649 0.110
Si 0.887 0.237 0.891
Si 0.649 0.886 0.890
Si 0.649 0.762 0.390
Si 0.351 0.114 0.890
Si 0.649 0.762 0.610
Si 0.114 0.351 0.610
Si 0.351 0.238 0.390
Si 0.762 0.649 0.890
Si 0.237 0.887 0.391
Si 0.351 0.114 0.110
Si 0.238 0.351 0.110
Si 0.113 0.763 0.891
Si 0.763 0.113 0.609
Si 0.886 0.649 0.610
Si 0.238 0.351 0.890
O 0.829 0.495 0.336
O 0.833 0.337 0.163
O 0.868 0.606 0.500
O 0.263 0.869 0.500
O 0.784 0.057 0.867
O 0.727 0.783 0.132
O 0.167 0.663 0.837
O 0.943 0.216 0.367
O 0.725 0.942 0.367
O 0.869 0.263 0.000
O 0.833 0.337 0.837
O 0.057 0.784 0.367
O 0.505 0.171 0.164
O 0.171 0.505 0.336
O 0.273 0.217 0.132
O 0.663 0.167 0.663
O 0.132 0.394 0.500
O 0.217 0.273 0.368
O 0.342 0.500 0.831
O 0.727 0.783 0.868
O 0.217 0.273 0.632
O 0.057 0.784 0.633
O 0.783 0.727 0.632
O 0.500 0.658 0.331
O 0.275 0.058 0.367
O 0.784 0.057 0.133
O 0.658 0.500 0.831
O 0.216 0.943 0.867
O 0.601 0.736 0.500
O 0.167 0.663 0.163
O 0.500 0.658 0.669
O 0.273 0.217 0.868
O 0.736 0.601 0.000
O 0.606 0.868 0.000
O 0.131 0.737 0.000
O 0.505 0.171 0.836
O 0.216 0.943 0.133
O 0.500 0.342 0.669
O 0.058 0.275 0.867
O 0.264 0.399 0.000
O 0.058 0.275 0.133
O 0.725 0.942 0.633
O 0.942 0.725 0.133
O 0.394 0.132 0.000
O 0.663 0.167 0.337
O 0.942 0.725 0.867
O 0.737 0.131 0.500
O 0.495 0.829 0.164
O 0.658 0.500 0.169
O 0.783 0.727 0.368
O 0.495 0.829 0.836
O 0.171 0.505 0.664
O 0.829 0.495 0.664
O 0.337 0.833 0.663
O 0.500 0.342 0.331
O 0.337 0.833 0.337
O 0.943 0.216 0.633
O 0.275 0.058 0.633
O 0.342 0.500 0.169
O 0.399 0.264 0.500
Li 0.500 0.500 0.250
Li 0.500 0.500 0.750
Na 0.330 0.666 0.500
Na 0.334 0.670 0.000
Na 0.670 0.334 0.500
Na 0.666 0.330 0.000
Zr 0.328 0.672 0.250
Zr 0.672 0.328 0.750
Zr 0.672 0.328 0.250
Zr 0.328 0.672 0.750
K 0.000 0.000 0.250
K 0.000 0.000 0.750

***

| no. | electronic total energy (eV for the cell shown) | MP2020-corrected energy (eV per atom) | calculated volume (Å³/atom) |
| --- | --- | --- | --- |
| 1 | -221.6 | -6.265 | 13.2 |
| 2 | -570.2 | -5.197 | 12.3 |
| 3 | -740.4 | -8.142 | 13.9 |